[1]
The following is a PBE calculation of Na5Y3GeP6O24 after structural relaxation, from Materials Project.

Computed properties:
Its calculated formation energy is -2.9154 eV/atom.

a = 9.1420 Å, b = 9.1410 Å, c = 23.0018 Å
α = 89.98°, β = 89.97°, γ = 120.08°
With the nearest neighbours (Å) after each atom.
Atoms (fractional coordinates):
1 O 0.5206 0.1531 0.9213  1 P 1.58
2 Na 0.6552 0.3215 0.8391  3 O 2.36-2.48
3 O 0.8471 0.3237 0.2462  1 P 1.55
4 O 0.8741 0.3507 0.6391  1 P 1.54
5 Na 0.0146 0.9994 0.9945  6 O 2.50-2.73
6 O 0.3764 0.4557 0.3601  1 P 1.57
7 O 0.1913 0.2440 0.7004  1 P 1.56
8 O 0.7738 0.8010 0.1898  1 P 1.56
9 O 0.8622 0.5198 0.7480  1 P 1.56
10 O 0.8163 0.7945 0.2983  1 P 1.52
11 O 0.8242 0.3041 0.5295  1 P 1.57
12 O 0.5214 0.6881 0.2548  1 P 1.56
13 Na 0.6669 0.3334 0.3456  3 O 2.38-2.41
14 O 0.3784 0.8800 0.8622  1 P 1.60
15 Ge 0.6641 0.3314 0.9771  6 O 1.95-1.99
16 O 0.9839 0.8017 0.4174  1 P 1.53
17 O 0.8102 0.0152 0.8021  1 P 1.52
18 O 0.5472 0.6707 0.9737  1 P 1.53
19 Y 0.0013 0.9995 0.8551  6 O 2.19-2.24
20 P 0.3774 0.0469 0.5771  4 O 1.53-1.56
21 Y 0.0093 0.9993 0.1444  6 O 2.18-2.35
22 Na 0.3336 0.6807 0.1676  5 O 2.54-2.78
23 O 0.4820 0.3544 0.7503  1 P 1.54
24 P 0.9458 0.3290 0.5812  4 O 1.54-1.57
25 O 0.8177 0.0161 0.4176  1 P 1.53
26 O 0.6491 0.1661 0.4278  1 P 1.56
27 P 0.0086 0.6482 0.4221  4 O 1.53-1.57
28 Na 0.9975 0.6377 0.2563  5 O 2.50-2.66
29 O 0.3571 0.8676 0.5738  1 P 1.56
30 O 0.3269 0.8751 0.9716  1 P 1.52
31 P 0.2992 0.3191 0.7563  4 O 1.50-1.60
32 O 0.8247 0.5169 0.0260  1 P 1.57
33 O 0.9579 0.7915 0.0775  1 P 1.55
34 Na 0.0133 0.0140 0.4964  6 O 2.45-2.68
35 O 0.2015 0.9993 0.9088  1 P 1.52
36 Na 0.6462 0.6473 0.7538  2 O 2.32-2.43
37 Na 0.6621 0.9640 0.5784  4 O 2.38-2.57
38 Na 0.0351 0.7005 0.5785  5 O 2.39-2.57
39 Na 0.3616 0.3610 0.2575  5 O 2.49-2.61
40 O 0.8388 0.7999 0.5824  1 P 1.57
41 O 0.6538 0.1169 0.1368  1 P 1.54
42 Y 0.6618 0.3284 0.1817  6 O 2.16-2.27
43 O 0.1971 0.0234 0.5806  1 P 1.55
44 O 0.4687 0.3497 0.1346  1 P 1.54
45 O 0.6910 0.5230 0.5295  1 P 1.57
46 O 0.7545 0.9472 0.6957  1 P 1.57
47 P 0.2972 0.9938 0.2515  4 O 1.52-1.56
48 O 0.4787 0.1230 0.6328  1 P 1.53
49 O 0.1656 0.4798 0.2549  1 P 1.56
50 P 0.6391 0.9912 0.4219  4 O 1.53-1.57
51 O 0.2100 0.0206 0.3033  1 P 1.52
52 P 0.3523 0.3585 0.4186  4 O 1.52-1.57
53 O 0.1931 0.9687 0.1955  1 P 1.55
54 Ge 0.3337 0.6748 0.8224  6 O 1.94-2.04
55 Y 0.9973 0.9982 0.3574  6 O 2.22-2.24
56 Na 0.3342 0.6680 0.6697  6 O 2.61-2.82
57 O 0.5185 0.3530 0.4274  1 P 1.56
58 Na 0.6627 0.6989 0.0781  4 O 2.39-2.58
59 O 0.6322 0.4796 0.9212  1 P 1.58
60 O 0.8340 0.4825 0.4291  1 P 1.56
61 O 0.3275 0.4546 0.4682  1 P 1.52
62 O 0.6684 0.1424 0.7487  1 P 1.54
63 P 0.6864 0.9843 0.7532  4 O 1.52-1.59
64 O 0.1211 0.4976 0.8633  1 P 1.60
65 Y 0.6543 0.3256 0.6865  6 O 2.14-2.32
66 O 0.3087 0.4971 0.7640  1 P 1.60
67 Na 0.9999 0.3591 0.7543  3 O 2.37-2.59
68 O 0.0878 0.6241 0.3650  1 P 1.57
69 O 0.8766 0.5278 0.1361  1 P 1.54
70 O 0.7987 0.7995 0.9104  1 P 1.53
71 O 0.1217 0.6726 0.4746  1 P 1.53
72 P 0.3535 0.9754 0.9162  4 O 1.52-1.60
73 O 0.9566 0.1644 0.5833  1 P 1.56
74 O 0.5044 0.6273 0.8628  1 P 1.60
75 O 0.1787 0.6844 0.7639  1 P 1.59
76 Ge 0.6634 0.3324 0.4827  6 O 1.91-1.96
77 O 0.0010 0.2017 0.9099  1 P 1.52
78 P 0.6978 0.7029 0.2476  4 O 1.52-1.56
79 P 0.6709 0.0475 0.0779  4 O 1.54-1.57
80 O 0.0286 0.2267 0.1901  1 P 1.56
81 O 0.9790 0.7903 0.8012  1 P 1.52
82 O 0.5103 0.8162 0.7640  1 P 1.59
83 Y 0.3320 0.6566 0.5144  6 O 2.11-2.28
84 O 0.1974 0.1757 0.0764  1 P 1.55
85 Na 0.0357 0.3337 0.0779  5 O 2.38-2.59
86 O 0.1209 0.4895 0.5756  1 P 1.54
87 O 0.8372 0.0381 0.0776  1 P 1.56
88 O 0.9797 0.1839 0.2985  1 P 1.52
89 O 0.3624 0.4923 0.0738  1 P 1.56
90 Y 0.3332 0.6647 0.3290  6 O 2.24-2.35
91 O 0.6894 0.1684 0.0266  1 P 1.57
92 O 0.5222 0.6566 0.5764  1 P 1.55
93 Y 0.3327 0.6738 0.0135  6 O 2.10-2.28
94 O 0.5210 0.8646 0.0752  1 P 1.54
95 P 0.0249 0.3780 0.9178  4 O 1.52-1.60
96 O 0.1213 0.6296 0.0739  1 P 1.54
97 O 0.4767 0.1520 0.2479  1 P 1.55
98 P 0.9470 0.6167 0.0774  4 O 1.54-1.57
99 O 0.6528 0.5332 0.6395  1 P 1.54
100 O 0.5370 0.9105 0.3647  1 P 1.57
101 O 0.1985 0.1802 0.4162  1 P 1.53
102 O 0.8463 0.3663 0.9220  1 P 1.59
103 P 0.0052 0.3020 0.2479  4 O 1.52-1.56
104 O 0.2135 0.2045 0.8074  1 P 1.50
105 P 0.6214 0.6469 0.9175  4 O 1.53-1.60
106 P 0.6716 0.6233 0.5813  4 O 1.54-1.57
107 O 0.3151 0.8336 0.2570  1 P 1.56
108 O 0.4785 0.3136 0.0242  1 P 1.56
109 O 0.5494 0.8782 0.4744  1 P 1.53
110 O 0.6747 0.5225 0.2460  1 P 1.55
111 P 0.3786 0.3307 0.0762  4 O 1.54-1.56
112 O 0.0460 0.7997 0.6941  1 P 1.56
113 O 0.1231 0.4509 0.9741  1 P 1.53
114 P 0.0172 0.7025 0.7524  4 O 1.52-1.59
115 Na 0.6408 0.0013 0.2562  5 O 2.50-2.65
116 O 0.4708 0.1604 0.5238  1 P 1.55
117 Y 0.0124 0.0089 0.6499  6 O 2.26-2.38

---

[2]
The following is a PBE calculation of Na2YGeP3O12 after structural relaxation, from Materials Project.

Computed properties:
Its calculated formation energy is -2.7260 eV/atom.

a = 8.9846 Å, b = 8.9846 Å, c = 22.3417 Å
α = 90.47°, β = 89.53°, γ = 120.62°
With the nearest neighbours (Å) after each atom.
Atoms (fractional coordinates):
1 O 0.2858 0.8040 0.2561  1 P 1.57
2 Ge 0.3380 0.6777 0.3146  6 O 1.92-2.09
3 Ge 0.9890 0.9953 0.1479  6 O 1.92-2.09
4 P 0.6909 0.7193 0.2484  4 O 1.50-1.59
5 O 0.4570 0.3271 0.1447  1 P 1.51
6 O 0.4522 0.1650 0.5244  1 P 1.59
7 O 0.1798 0.0468 0.5870  1 P 1.58
8 Na 0.3212 0.9766 0.0845  4 O 2.30-2.57
9 O 0.7903 0.9938 0.8114  1 P 1.51
10 O 0.8626 0.0475 0.0894  1 P 1.57
11 O 0.6554 0.1338 0.1340  1 P 1.50
12 O 0.5016 0.8812 0.3577  1 P 1.59
13 Na 0.9879 0.3099 0.4178  4 O 2.30-2.57
14 Ge 0.0047 0.0110 0.6479  6 O 1.92-2.09
15 Na 0.6901 0.0121 0.9178  4 O 2.30-2.57
16 P 0.3588 0.3868 0.4141  4 O 1.50-1.59
17 Y 0.3466 0.6712 0.5229  6 O 2.11-2.23
18 Na 0.6682 0.3351 0.3365  3 O 2.38-2.43
19 O 0.1267 0.4582 0.9715  1 P 1.50
20 O 0.5349 0.8693 0.0763  1 P 1.54
21 P 0.0243 0.3859 0.9150  4 O 1.50-1.59
22 O 0.1973 0.4841 0.2554  1 P 1.59
23 O 0.2016 0.2026 0.4097  1 P 1.54
24 O 0.1237 0.6605 0.4781  1 P 1.51
25 O 0.4640 0.1317 0.2430  1 P 1.54
26 O 0.2046 0.9991 0.9146  1 P 1.51
27 P 0.6141 0.9757 0.4150  4 O 1.50-1.59
28 O 0.4681 0.3503 0.7422  1 P 1.53
29 P 0.2799 0.9745 0.2475  4 O 1.50-1.59
30 P 0.9466 0.3079 0.5808  4 O 1.50-1.59
31 O 0.3221 0.4671 0.4674  1 P 1.50
32 O 0.5061 0.6179 0.8548  1 P 1.59
33 Na 0.3349 0.6684 0.6698  3 O 2.38-2.43
34 O 0.8751 0.5400 0.1381  1 P 1.50
35 O 0.0062 0.2097 0.3114  1 P 1.51
36 P 0.6887 0.6359 0.5868  4 O 1.51-1.60
37 P 0.6921 0.0534 0.0808  4 O 1.50-1.59
38 O 0.5159 0.8027 0.7554  1 P 1.59
39 P 0.0255 0.7201 0.7475  4 O 1.50-1.59
40 P 0.2807 0.3091 0.7484  4 O 1.50-1.59
41 O 0.6191 0.4707 0.9227  1 P 1.57
42 O 0.7154 0.5377 0.5314  1 P 1.60
43 O 0.1727 0.9513 0.1881  1 P 1.59
44 Y 0.0133 0.0045 0.8562  6 O 2.11-2.23
45 O 0.3821 0.8711 0.8647  1 P 1.60
46 O 0.7154 0.1606 0.0215  1 P 1.59
47 O 0.7855 0.8317 0.1910  1 P 1.59
48 O 0.9830 0.1986 0.9088  1 P 1.53
49 O 0.6497 0.5319 0.2422  1 P 1.53
50 O 0.0487 0.8273 0.6881  1 P 1.59
51 O 0.1683 0.2145 0.6910  1 P 1.59
52 O 0.8350 0.5478 0.0244  1 P 1.59
53 O 0.6729 0.5430 0.6447  1 P 1.51
54 P 0.3576 0.0526 0.5817  4 O 1.50-1.59
55 O 0.1188 0.4984 0.8577  1 P 1.59
56 O 0.9525 0.1374 0.5894  1 P 1.57
57 O 0.3821 0.4939 0.3548  1 P 1.59
58 O 0.1348 0.6837 0.0755  1 P 1.53
59 Ge 0.6556 0.3287 0.4812  6 O 1.92-2.09
60 O 0.1826 0.1360 0.0887  1 P 1.59
61 P 0.3641 0.3113 0.0868  4 O 1.51-1.60
62 O 0.7956 0.9512 0.6980  1 P 1.60
63 Na 0.6546 0.6433 0.7511  4 O 2.30-2.57
64 Y 0.6622 0.3200 0.6896  6 O 2.11-2.23
65 Ge 0.3223 0.6620 0.8146  6 O 1.92-2.09
66 O 0.4600 0.1249 0.6381  1 P 1.50
67 O 0.6676 0.1288 0.7479  1 P 1.51
68 O 0.5379 0.6657 0.5813  1 P 1.51
69 P 0.3553 0.9692 0.9201  4 O 1.51-1.60
70 Na 0.0234 0.6788 0.5845  4 O 2.30-2.57
71 O 0.5307 0.1507 0.9221  1 P 1.59
72 Y 0.3288 0.6534 0.0229  6 O 2.11-2.23
73 O 0.2085 0.2067 0.8048  1 P 1.50
74 P 0.6132 0.6412 0.9141  4 O 1.50-1.59
75 O 0.0009 0.7954 0.4146  1 P 1.51
76 O 0.4623 0.2846 0.0314  1 P 1.60
77 Y 0.6800 0.3378 0.1896  6 O 2.11-2.23
78 O 0.5418 0.8733 0.4715  1 P 1.50
79 O 0.8683 0.5360 0.7430  1 P 1.54
80 Na 0.9983 0.9984 0.5031  3 O 2.38-2.43
81 Na 0.3567 0.3454 0.2511  4 O 2.30-2.57
82 O 0.6199 0.1536 0.4203  1 P 1.58
83 O 0.3163 0.8652 0.5755  1 P 1.53
84 O 0.7974 0.7984 0.9097  1 P 1.54
85 P 0.9474 0.6424 0.0817  4 O 1.50-1.59
86 O 0.5293 0.3809 0.4227  1 P 1.57
87 O 0.8640 0.8174 0.5887  1 P 1.59
88 P 0.0308 0.6447 0.4201  4 O 1.51-1.60
89 Y 0.9955 0.9867 0.3562  6 O 2.11-2.23
90 P 0.6974 0.9780 0.7534  4 O 1.51-1.60
91 O 0.8014 0.0170 0.4088  1 P 1.53
92 O 0.5329 0.6779 0.9674  1 P 1.50
93 O 0.3343 0.4621 0.0813  1 P 1.51
94 O 0.8712 0.3324 0.2479  1 P 1.51
95 Ge 0.6713 0.3444 0.9812  6 O 1.92-2.09
96 Na 0.3316 0.6651 0.1698  3 O 2.38-2.43
97 P 0.0220 0.3026 0.2534  4 O 1.51-1.60
98 O 0.1960 0.7142 0.7561  1 P 1.57
99 O 0.8662 0.3446 0.6340  1 P 1.50
100 O 0.3395 0.8763 0.9781  1 P 1.51
101 O 0.2865 0.4869 0.7537  1 P 1.58
102 O 0.9888 0.8004 0.8007  1 P 1.50
103 O 0.1996 0.0112 0.3007  1 P 1.50
104 Na 0.6649 0.3318 0.8365  3 O 2.38-2.43
105 O 0.1289 0.6179 0.3647  1 P 1.60
106 O 0.7933 0.7915 0.3048  1 P 1.50
107 O 0.0488 0.2044 0.1980  1 P 1.60
108 O 0.8493 0.4693 0.4221  1 P 1.59
109 O 0.9532 0.8202 0.0870  1 P 1.58
110 O 0.8464 0.3801 0.9203  1 P 1.58
111 Na 0.0016 0.0017 0.0031  3 O 2.38-2.43
112 O 0.8394 0.2846 0.5215  1 P 1.59
113 O 0.5131 0.7135 0.2537  1 P 1.58
114 O 0.1307 0.4651 0.5763  1 P 1.54

---

[3]
The following is a PBE calculation of Na3YGe3P6O24 after structural relaxation, from Materials Project.

Computed properties:
Its calculated formation energy is -2.5946 eV/atom.

a = 8.6304 Å, b = 8.6486 Å, c = 22.1606 Å
α = 89.89°, β = 90.09°, γ = 120.33°
With the nearest neighbours (Å) after each atom.
Atoms (fractional coordinates):
1 O 0.2977 0.8350 0.9715  1 P 1.53
2 P 0.3513 0.3952 0.4195  4 O 1.52-1.57
3 P 0.6215 0.6644 0.9161  4 O 1.53-1.57
4 O 0.8437 0.2962 0.5234  1 P 1.58
5 P 0.3649 0.3349 0.0797  4 O 1.52-1.57
6 O 0.5215 0.3789 0.4256  1 P 1.55
7 O 0.0422 0.2075 0.1959  1 P 1.58
8 O 0.5064 0.6295 0.8573  1 P 1.57
9 Y 0.6747 0.3331 0.1774  6 O 2.12-2.22
10 O 0.9834 0.1998 0.3110  1 P 1.52
11 O 0.7050 0.1623 0.0245  1 P 1.57
12 Na 0.3240 0.6678 0.6650  6 O 2.53-2.61
13 P 0.7163 0.9925 0.7547  4 O 1.51-1.58
14 O 0.9835 0.8216 0.0855  1 P 1.56
15 O 0.8394 0.8207 0.5888  1 P 1.56
16 P 0.6655 0.0294 0.0783  4 O 1.51-1.57
17 Y 0.9981 0.9886 0.3575  6 O 2.07-2.24
18 O 0.5136 0.7002 0.2544  1 P 1.57
19 O 0.7916 0.8299 0.1913  1 P 1.56
20 Na 0.3322 0.6755 0.1631  6 O 2.48-2.63
21 Ge 0.3359 0.6679 0.5200  6 O 1.82-1.88
22 O 0.8382 0.5421 0.0242  1 P 1.57
23 O 0.1654 0.9756 0.9096  1 P 1.56
24 O 0.9764 0.8115 0.8093  1 P 1.55
25 O 0.7939 0.9554 0.6959  1 P 1.57
26 P 0.0062 0.2975 0.2519  4 O 1.51-1.58
27 O 0.8465 0.5440 0.7505  1 P 1.53
28 O 0.1579 0.4974 0.5716  1 P 1.55
29 O 0.0421 0.8371 0.6941  1 P 1.56
30 O 0.4739 0.1514 0.2430  1 P 1.52
31 O 0.6263 0.5295 0.6412  1 P 1.52
32 O 0.1579 0.6565 0.0672  1 P 1.55
33 O 0.1791 0.0182 0.5879  1 P 1.56
34 P 0.9680 0.3327 0.5801  4 O 1.51-1.58
35 Ge 0.3281 0.6676 0.8162  6 O 1.88-1.99
36 O 0.6254 0.1458 0.4251  1 P 1.57
37 O 0.4733 0.0971 0.6379  1 P 1.51
38 O 0.2168 0.0288 0.3051  1 P 1.51
39 P 0.3351 0.9563 0.9164  4 O 1.53-1.56
40 O 0.2951 0.8132 0.2558  1 P 1.56
41 O 0.5265 0.8168 0.7595  1 P 1.58
42 Na 0.9676 0.2962 0.4162  4 O 2.24-2.51
43 P 0.9716 0.6368 0.0779  4 O 1.51-1.57
44 Na 0.0005 0.9920 0.5025  6 O 2.38-2.54
45 O 0.4981 0.8734 0.3609  1 P 1.56
46 P 0.0431 0.3782 0.9165  4 O 1.53-1.56
47 O 0.3751 0.4989 0.3589  1 P 1.57
48 Na 0.3612 0.3552 0.2488  3 O 2.26-2.41
49 O 0.5218 0.8384 0.4758  1 P 1.52
50 O 0.5019 0.6556 0.5721  1 P 1.55
51 P 0.6055 0.9557 0.4203  4 O 1.52-1.57
52 O 0.1645 0.4622 0.9717  1 P 1.53
53 Ge 0.6611 0.3337 0.4829  6 O 1.90-1.98
54 O 0.1642 0.2047 0.6943  1 P 1.56
55 O 0.8313 0.0190 0.8109  1 P 1.53
56 O 0.6395 0.4952 0.9240  1 P 1.56
57 O 0.8389 0.0176 0.0865  1 P 1.56
58 Y 0.6674 0.3255 0.6858  6 O 2.12-2.25
59 O 0.4628 0.3164 0.7509  1 P 1.53
60 O 0.0241 0.8171 0.4223  1 P 1.50
61 O 0.6637 0.5206 0.2432  1 P 1.52
62 Ge 0.0022 0.0013 0.6463  6 O 1.92-1.97
63 O 0.8547 0.3589 0.9242  1 P 1.56
64 Na 0.6669 0.3339 0.3313  6 O 2.46-2.57
65 Ge 0.3334 0.6660 0.0152  6 O 1.87-1.90
66 Ge 0.0019 0.0015 0.8568  6 O 1.85-1.94
67 P 0.0155 0.7293 0.7536  4 O 1.53-1.56
68 O 0.4998 0.8422 0.0671  1 P 1.55
69 O 0.4555 0.1604 0.5253  1 P 1.57
70 P 0.2720 0.2858 0.7538  4 O 1.53-1.58
71 O 0.1852 0.7111 0.7595  1 P 1.56
72 P 0.0469 0.6561 0.4212  4 O 1.50-1.57
73 O 0.7037 0.5403 0.5278  1 P 1.57
74 O 0.3419 0.8437 0.5715  1 P 1.55
75 O 0.8481 0.3263 0.2471  1 P 1.51
76 O 0.1255 0.6212 0.3623  1 P 1.57
77 O 0.3151 0.4824 0.4737  1 P 1.53
78 O 0.4650 0.3765 0.1394  1 P 1.52
79 O 0.3458 0.5009 0.0682  1 P 1.55
80 O 0.8577 0.4811 0.4258  1 P 1.57
81 O 0.4605 0.2969 0.0265  1 P 1.57
82 Ge 0.3350 0.6734 0.3130  6 O 1.90-1.99
83 O 0.9001 0.3758 0.6367  1 P 1.51
84 P 0.2870 0.9878 0.2485  4 O 1.51-1.57
85 P 0.6669 0.6330 0.5822  4 O 1.52-1.57
86 O 0.1869 0.4834 0.2560  1 P 1.58
87 O 0.2929 0.4772 0.7589  1 P 1.58
88 O 0.9142 0.5342 0.1368  1 P 1.51
89 O 0.1248 0.4973 0.8591  1 P 1.56
90 O 0.0243 0.1897 0.9099  1 P 1.56
91 O 0.1682 0.9601 0.1913  1 P 1.57
92 O 0.8116 0.8345 0.9099  1 P 1.56
93 Na 0.6325 0.6286 0.7503  3 O 2.24-2.33
94 O 0.6191 0.0874 0.1367  1 P 1.51
95 O 0.1775 0.1618 0.0869  1 P 1.56
96 O 0.9808 0.1602 0.5881  1 P 1.56
97 O 0.5355 0.7010 0.9705  1 P 1.53
98 Ge 0.6668 0.3330 0.9816  6 O 1.91-1.99
99 Ge 0.9983 0.9969 0.1452  6 O 1.93-2.01
100 O 0.3727 0.8752 0.8592  1 P 1.56
101 Na 0.6675 0.3247 0.8365  6 O 2.45-2.58
102 O 0.5043 0.1456 0.9245  1 P 1.56
103 Na 0.0001 0.0003 0.0002  6 O 2.40-2.54
104 O 0.1832 0.2103 0.4192  1 P 1.52
105 P 0.3651 0.0317 0.5804  4 O 1.51-1.57
106 P 0.7007 0.7120 0.2483  4 O 1.50-1.57
107 O 0.1627 0.6803 0.4763  1 P 1.52
108 O 0.8046 0.7815 0.3062  1 P 1.50
109 O 0.7958 0.9869 0.4197  1 P 1.52
110 O 0.6939 0.1547 0.7528  1 P 1.51
111 O 0.1899 0.1694 0.8102  1 P 1.53

---

Computed size of the total moment, in the same sequence as the records: 0.00, 0.00, 0.00 μB per atom.
Computed total energy after the MP2020 corrections, in the same sequence as the records: -7.579, -7.429, -7.339 eV/atom.
Computed E, in the same sequence as the records: -7.156, -6.995, -6.893 eV/atom.